Crystalline Na5Si3Ge4P3O24 at its relaxed geometry, computed with PBE. Values from VASP.

Cell and atoms, written as Quantum ESPRESSO input:
```
&SYSTEM
  ibrav = 0, nat = 117, ntyp = 5
/
ATOMIC_SPECIES
Na 22.99 Na.upf
Si 28.09 Si.upf
Ge 72.64 Ge.upf
P 30.97 P.upf
O 16.00 O.upf
CELL_PARAMETERS angstrom
8.5778 0.0050 -0.0109
-4.2846 7.4276 0.0031
-0.0279 -0.0069 21.7310
ATOMIC_POSITIONS angstrom
Na -2.7165 4.6970 5.4369
Na -1.1533 7.4236 16.3037
Na -2.7464 5.1973 12.6579
Na 1.5435 7.1621 12.6853
Na -1.5855 7.1958 1.7891
Na -1.1447 2.4941 1.8292
Na 5.4233 4.9546 19.9259
Na 6.9913 2.2292 9.0188
Na 2.7294 0.2388 9.0599
Na 4.2767 7.4071 10.8584
Na 8.5209 0.0037 21.7030
Na 4.2719 2.4549 18.1035
Na 4.2547 2.4777 7.2211
Na 0.0880 4.9399 3.6386
Na 0.0438 4.8775 14.5003
Si 7.3452 2.1272 5.4218
Si 6.1157 0.0105 16.2946
Si 2.9981 0.3789 12.6752
Si 3.0137 4.5594 12.6850
Si 5.4674 4.6199 1.7913
Si 1.8394 2.5254 1.8247
Si -1.2363 7.1328 19.9115
Si 1.2464 7.0598 9.0345
Si -2.5116 4.9494 9.0544
Ge 4.2169 7.3763 7.6597
Ge -0.0337 0.0467 18.5399
Ge 4.2657 7.4202 14.0535
Ge -0.0029 0.0071 3.1903
Ge 4.2710 2.4651 14.9128
Ge 4.2936 2.4796 4.0417
Ge 4.1922 2.4396 21.3039
Ge 4.2548 2.5123 10.4260
Ge -0.0002 4.9404 0.4183
Ge 0.0238 4.9963 11.2939
Ge -0.0078 4.9304 6.8211
Ge 0.0359 4.9834 17.6789
P 2.4806 0.0369 5.4399
P 3.0109 5.2986 5.4147
P 1.1816 2.1600 16.3022
P 5.4898 5.2468 16.3037
P 6.7689 2.4814 12.6697
P 5.5273 0.3300 1.7997
P 2.4229 4.9515 19.9159
P -1.2401 2.7904 19.9021
P 1.2390 2.8532 9.0525
O 1.6162 0.2606 6.7019
O 3.7536 5.8741 6.6550
O 7.5639 1.2286 6.7580
O 1.0488 1.2276 17.5391
O 4.8611 5.8790 17.5652
O 7.0289 0.2787 17.6011
O 2.7025 7.1669 14.9474
O 0.5490 1.5282 15.0482
O -3.2209 6.1606 15.0605
O 3.2506 6.1734 4.1713
O -0.5640 1.4870 4.0944
O -2.6667 7.1285 4.1863
O 5.8891 2.7902 13.8987
O 3.7725 0.9487 13.9898
O 3.2789 3.6668 14.0043
O 5.3607 3.6738 3.1139
O 4.8193 0.9145 3.0451
O 2.7478 2.7500 3.1380
O 2.7298 2.1229 0.5285
O 4.8470 3.9591 0.4434
O 5.3764 1.2463 0.5650
O 3.2459 1.2458 11.3264
O 3.8069 3.9839 11.3851
O 5.9254 2.1624 11.4035
O 1.5681 5.2152 21.1680
O -0.6073 3.3816 21.1938
O -1.0814 6.1546 21.2263
O 1.0479 6.1924 10.3913
O 0.5135 3.4217 10.2906
O -1.5898 5.2481 10.3732
O -1.5969 4.6226 7.7375
O 0.4764 6.4272 7.7527
O 1.0401 3.7012 7.7895
O -1.0524 3.7232 18.6829
O -0.5914 6.4451 18.5842
O 1.5829 4.6586 18.6625
O -3.3777 6.3175 8.8663
O 2.8514 7.2888 8.9058
O 0.6113 1.4329 8.9163
O -0.5967 1.3994 19.7793
O -2.8812 7.2126 19.7381
O 3.3529 6.1898 19.7746
O 7.6284 1.2141 12.8140
O 1.3949 0.1596 12.8655
O 3.6888 6.0661 12.8229
O 4.8583 6.1197 1.9849
O 7.0536 0.2055 1.9497
O 0.8736 1.1886 1.9662
O 5.1193 1.3162 16.1412
O 2.7251 2.2701 16.1729
O 4.8473 3.8641 16.1451
O 3.6971 3.9106 5.2967
O 5.7137 2.3233 5.2756
O 3.3618 1.2817 5.2836
O 3.3614 3.7205 20.0392
O 5.7990 2.6951 20.0422
O 3.7421 1.1584 20.0647
O 4.8473 1.1244 9.1990
O 2.7588 2.6611 9.1737
O 5.1756 3.6060 9.2017
O 0.8495 3.8055 1.6299
O -1.4698 4.7894 1.6560
O 0.5782 6.3750 1.6469
O -0.6210 6.2987 12.5477
O 1.4069 4.7591 12.5271
O -0.9496 3.7408 12.5183
O -0.9472 6.1743 5.5571
O 1.4945 5.1631 5.5834
O -0.5892 3.6345 5.5764
O 0.5324 3.5434 16.4768
O -1.5430 5.1259 16.4470
O 0.8410 6.1231 16.4330
```

Energy of formation = -2.523 eV per atom